Entry from the Materials Project: a relaxed SmFe12 crystal (PBE).

Its total magnetization is 25.721 Bohr magnetons per cell. Its relative energy among the computed polymorphs is 0.00 eV/f.u. As for the raw total energy: -106.05 eV per cell. Its formation energy is 0.31 eV/f.u. Its symmetry is I4/mmm (139).

Cell lengths 6.456, 6.456, 6.456 Å; angles 97.49, 97.49, 137.66 degrees
Atoms (fractional coordinates):
Sm 0.000 0.000 0.000
Fe 0.000 0.000 0.500
Fe 0.000 0.359 0.359
Fe 0.000 0.500 0.000
Fe 0.000 0.641 0.641
Fe 0.268 0.500 0.768
Fe 0.359 0.000 0.359
Fe 0.500 0.000 0.000
Fe 0.500 0.268 0.768
Fe 0.500 0.500 0.500
Fe 0.500 0.732 0.232
Fe 0.641 0.000 0.641
Fe 0.732 0.500 0.232